Entry 1:
Compound: Ti2NbNi9
Source: the Materials Project
Functional: PBE
Structure: relaxed

a b c (Å): 5.1183 5.1183 25.2932
angles (deg): 90.00 90.00 120.00
Last column: nearest neighbours and their distance in Å.
Space group P-6m2 (No. 187)
One atom of each set of equivalent atoms:
Ti: 0.0000 0.0000 0.0838 (multiplicity 2)  12 Ni 2.56-2.61
Ti: 0.0000 0.0000 0.2494 (multiplicity 2)  12 Ni 2.56-2.61
Ti: 0.0000 0.0000 0.4164 (multiplicity 2)  12 Ni 2.56-2.60
Ti: 0.3333 0.6667 0.1664 (multiplicity 2)  12 Ni 2.55-2.56
Nb: 0.3333 0.6667 0.5000 (multiplicity 1)  12 Ni 2.56-2.58
Nb: 0.6667 0.3333 0.0000 (multiplicity 1)  12 Ni 2.56-2.59
Nb: 0.6667 0.3333 0.3318 (multiplicity 2)  12 Ni 2.56-2.60
Ni: 0.9996 0.4998 0.4166 (multiplicity 6)  8 Ni 2.56, 2 Ti 2.56, 2 Nb 2.58-2.60
Ni: 0.0015 0.5007 0.0841 (multiplicity 6)  8 Ni 2.55-2.58, 3 Ti 2.55-2.56, 1 Nb 2.59
Ni: 0.0019 0.5009 0.2492 (multiplicity 6)  8 Ni 2.54-2.58, 3 Ti 2.56, 1 Nb 2.56
Ni: 0.1711 0.3421 0.0000 (multiplicity 3)  8 Ni 2.49-2.63, 2 Nb 2.56, 2 Ti 2.61
Ni: 0.1708 0.3417 0.3333 (multiplicity 6)  8 Ni 2.50-2.62, 2 Nb 2.56, 2 Ti 2.59-2.61
Ni: 0.3413 0.1706 0.5000 (multiplicity 3)  8 Ni 2.50-2.62, 2 Nb 2.56, 2 Ti 2.60
Ni: 0.3422 0.1711 0.1666 (multiplicity 6)  8 Ni 2.49-2.63, 4 Ti 2.56-2.59

spin magnetization	0.0	μB/f.u.
ΔE_f	-0.39	eV/atom

Entry 2:
Compound: TiNb3Ni12
Source: the Materials Project
Functional: PBE
Structure: relaxed

a b c (Å): 4.1988 10.1787 4.5421
angles (deg): 90.00 90.00 90.00
Last column: nearest neighbours and their distance in Å.
Space group Pmm2 (No. 25)
One atom of each set of equivalent atoms:
Ti: 0.0000 0.0000 0.0000 (multiplicity 1)  12 Ni 2.53-2.63
Nb: 0.0000 0.5000 0.9990 (multiplicity 1)  12 Ni 2.57-2.63
Nb: 0.5000 0.2491 0.3031 (multiplicity 2)  12 Ni 2.54-2.64
Ni: 0.0000 0.1223 0.4909 (multiplicity 2)  8 Ni 2.49-2.70, 2 Ti 2.55-2.63, 2 Nb 2.61
Ni: 0.0000 0.2483 0.9673 (multiplicity 2)  8 Ni 2.51-2.71, 1 Ti 2.53, 3 Nb 2.57-2.60
Ni: 0.0000 0.3755 0.4926 (multiplicity 2)  8 Ni 2.51-2.71, 4 Nb 2.58-2.63
Ni: 0.5000 0.0000 0.3326 (multiplicity 1)  8 Ni 2.52-2.68, 2 Nb 2.54, 2 Ti 2.59
Ni: 0.5000 0.1242 0.8120 (multiplicity 2)  8 Ni 2.52-2.68, 2 Nb 2.57-2.64, 2 Ti 2.60
Ni: 0.5000 0.3742 0.8104 (multiplicity 2)  8 Ni 2.51-2.70, 4 Nb 2.57-2.63
Ni: 0.5000 0.5000 0.3340 (multiplicity 1)  8 Ni 2.51-2.70, 4 Nb 2.56-2.59

spin magnetization	0.0	μB/f.u.
ΔE_f	-0.32	eV/atom

Entry 3:
Compound: Ti2NbNi9
Source: the Materials Project
Functional: PBE
Structure: relaxed

a b c (Å): 8.4413 5.1235 26.6356
angles (deg): 90.00 90.00 90.00
Last column: nearest neighbours and their distance in Å.
Space group Amm2 (No. 38)
One atom of each set of equivalent atoms:
Ti: 0.0000 0.0000 0.0000 (multiplicity 2)  12 Ni 2.54-2.57
Ti: 0.0000 0.0000 0.3355 (multiplicity 2)  12 Ni 2.54-2.58
Ti: 0.2494 0.0000 0.7782 (multiplicity 4)  12 Ni 2.56-2.61
Ti: 0.2501 0.0000 0.1111 (multiplicity 4)  12 Ni 2.56-2.61
Ti: 0.2495 0.0000 0.4448 (multiplicity 4)  12 Ni 2.56-2.60
Nb: 0.0000 0.0000 0.6677 (multiplicity 2)  12 Ni 2.56-2.60
Nb: 0.5000 0.0000 0.2224 (multiplicity 2)  12 Ni 2.56-2.61
Nb: 0.5000 0.0000 0.5539 (multiplicity 2)  12 Ni 2.55-2.60
Nb: 0.5000 0.0000 0.8882 (multiplicity 2)  12 Ni 2.55-2.61
Ni: 0.0000 0.0000 0.1686 (multiplicity 2)  8 Ni 2.52-2.63, 2 Nb 2.56, 2 Ti 2.61
Ni: 0.0000 0.0000 0.5017 (multiplicity 2)  8 Ni 2.50-2.61, 4 Ti 2.56-2.59
Ni: 0.0000 0.0000 0.8352 (multiplicity 2)  8 Ni 2.51-2.61, 4 Ti 2.56-2.60
Ni: 0.0000 0.2420 0.2509 (multiplicity 4)  8 Ni 2.48-2.64, 3 Ti 2.57-2.59, 1 Nb 2.58
Ni: 0.0000 0.2431 0.9170 (multiplicity 4)  8 Ni 2.49-2.63, 4 Ti 2.54-2.59
Ni: 0.0000 0.2446 0.5830 (multiplicity 4)  8 Ni 2.50-2.63, 3 Ti 2.57-2.59, 1 Nb 2.58
Ni: 0.2471 0.0000 0.2785 (multiplicity 4)  8 Ni 2.54-2.58, 3 Ti 2.56-2.58, 1 Nb 2.61
Ni: 0.2475 0.0000 0.9445 (multiplicity 4)  8 Ni 2.54-2.58, 3 Ti 2.56, 1 Nb 2.61
Ni: 0.2474 0.2474 0.0278 (multiplicity 8)  8 Ni 2.54-2.60, 3 Ti 2.55-2.56, 1 Nb 2.59
Ni: 0.2475 0.2485 0.3614 (multiplicity 8)  3 Ti 2.54-2.56, 8 Ni 2.55-2.59, 1 Nb 2.59
Ni: 0.2497 0.0000 0.6108 (multiplicity 4)  8 Ni 2.56-2.57, 2 Ti 2.56, 2 Nb 2.60
Ni: 0.2498 0.2500 0.1946 (multiplicity 8)  8 Ni 2.56-2.59, 2 Ti 2.57, 2 Nb 2.57-2.58
Ni: 0.5000 0.0000 0.0543 (multiplicity 2)  8 Ni 2.52-2.60, 2 Nb 2.56, 2 Ti 2.60
Ni: 0.5000 0.0000 0.3880 (multiplicity 2)  8 Ni 2.51-2.60, 2 Nb 2.56, 2 Ti 2.60
Ni: 0.5000 0.0000 0.7211 (multiplicity 2)  8 Ni 2.52-2.62, 2 Nb 2.56, 2 Ti 2.61
Ni: 0.5000 0.2434 0.9720 (multiplicity 4)  8 Ni 2.49-2.63, 2 Nb 2.55-2.56, 2 Ti 2.59
Ni: 0.5000 0.2444 0.3061 (multiplicity 4)  8 Ni 2.50-2.62, 2 Nb 2.55-2.56, 2 Ti 2.60
Ni: 0.5000 0.2445 0.6388 (multiplicity 4)  8 Ni 2.51-2.62, 2 Nb 2.58-2.59, 2 Ti 2.59

spin magnetization	0.0	μB/f.u.
ΔE_f	-0.38	eV/atom

Entry 4:
Compound: Nb12O29
Source: the Materials Project
Functional: PBE
Structure: relaxed

a b c (Å): 3.8637 21.1563 29.5009
angles (deg): 90.00 90.00 90.00
Last column: nearest neighbours and their distance in Å.
Space group Cmcm (No. 63)
One atom of each set of equivalent atoms:
Nb: 0.0000 0.0350 0.1849 (multiplicity 8)  4 O 1.84-2.01
Nb: 0.0000 0.0366 0.0507 (multiplicity 8)  4 O 1.80-2.01
Nb: 0.0000 0.1480 0.5483 (multiplicity 8)  1 O 1.78
Nb: 0.0000 0.1478 0.6848 (multiplicity 8)  5 O 1.92-2.04
Nb: 0.0000 0.3308 0.5505 (multiplicity 8)  2 O 1.81-1.87
Nb: 0.0000 0.3310 0.6845 (multiplicity 8)  4 O 1.84-2.01
O: 0.0000 0.0322 0.1118 (multiplicity 8)  1 Nb 1.80
O: 0.0000 0.0420 0.2500 (multiplicity 4)  2 Nb 1.92
O: 0.0000 0.0493 0.5311 (multiplicity 8)  1 Nb 1.91
O: 0.0000 0.0521 0.6843 (multiplicity 8)  2 Nb 1.84-2.02
O: 0.0000 0.1414 0.6085 (multiplicity 8)  1 Nb 1.78
O: 0.0000 0.1434 0.1798 (multiplicity 8)  2 Nb 2.01
O: 0.0000 0.1443 0.0367 (multiplicity 8)  2 Nb 2.04
O: 0.0000 0.1506 0.7500 (multiplicity 4)  2 Nb 1.92
O: 0.0000 0.2433 0.5424 (multiplicity 8)  2 Nb 1.87-2.02
O: 0.0000 0.2442 0.6803 (multiplicity 8)  2 Nb 1.84-2.04
O: 0.0000 0.3344 0.7500 (multiplicity 4)  2 Nb 1.93
O: 0.0000 0.3356 0.6117 (multiplicity 8)  1 Nb 1.81
O: 0.0000 0.3496 0.0284 (multiplicity 8)  2 Nb 2.02
O: 0.0000 0.3515 0.1755 (multiplicity 8)  2 Nb 1.95
O: 0.0000 0.4387 0.5437 (multiplicity 8)  2 Nb 2.01
O: 0.0000 0.4396 0.6801 (multiplicity 8)  2 Nb 2.01

spin magnetization	0.5	μB/f.u.
ΔE_f	-3.04	eV/atom

Entry 5:
Compound: NbO3
Source: the Materials Project
Functional: PBE
Structure: relaxed

a b c (Å): 4.7321 4.7321 3.7174
angles (deg): 90.00 90.00 120.00
Last column: nearest neighbours and their distance in Å.
Space group P6_3/mmc (No. 194)
One atom of each set of equivalent atoms:
Nb: 0.3333 0.6667 0.2500 (multiplicity 2)  12 O 2.24-2.37
O: 0.1811 0.3623 0.7500 (multiplicity 6)  6 O 2.16-2.38, 4 Nb 2.24-2.37

spin magnetization	1.0	μB/f.u.
ΔE_f	-1.65	eV/atom

Entry 6:
Compound: Nb2O5
Source: the Materials Project
Functional: PBE
Structure: relaxed

a b c (Å): 5.3433 9.7019 9.9785
angles (deg): 90.00 90.00 90.00
Last column: nearest neighbours and their distance in Å.
Space group P2_12_12_1 (No. 19)
One atom of each set of equivalent atoms:
Nb: 0.1135 0.0307 0.2832 (multiplicity 4)  4 O 1.86-1.89
Nb: 0.1188 0.6546 0.9021 (multiplicity 4)  6 O 1.95-2.06
O: 0.0254 0.0178 0.4658 (multiplicity 4)  2 Nb 1.89-2.02
O: 0.1076 0.2947 0.5276 (multiplicity 4)  2 Nb 1.95-1.99
O: 0.1362 0.0959 0.7380 (multiplicity 4)  2 Nb 1.87-2.03
O: 0.1654 0.5020 0.3252 (multiplicity 4)  2 Nb 1.86-2.06
O: 0.2273 0.2137 0.2671 (multiplicity 4)  2 Nb 1.88-2.03

ΔE_f	-2.97	eV/atom

Entry 7:
Compound: Nb2O5
Source: the Materials Project
Functional: PBE
Structure: relaxed

a b c (Å): 3.8627 14.7110 15.4386
angles (deg): 104.89 97.18 97.53
Last column: nearest neighbours and their distance in Å.
Space group P1 (No. 1)
One atom of each set of equivalent atoms:
Nb: 0.0000 0.0000 0.0000 (multiplicity 1)  4 O 1.81-2.02
Nb: 0.0230 0.8172 0.2735 (multiplicity 1)  5 O 1.88-2.10
Nb: 0.0824 0.6269 0.5362 (multiplicity 1)  4 O 1.81-2.01
Nb: 0.1351 0.2719 0.0019 (multiplicity 1)  2 O 1.82
Nb: 0.1600 0.0808 0.2701 (multiplicity 1)  4 O 1.88-2.01
Nb: 0.2258 0.8968 0.5345 (multiplicity 1)  4 O 1.89-2.01
Nb: 0.2520 0.7047 0.8018 (multiplicity 1)  2 O 1.82
Nb: 0.3092 0.3503 0.2677 (multiplicity 1)  4 O 1.81-2.01
Nb: 0.3309 0.1604 0.5312 (multiplicity 1)  5 O 1.90-2.10
Nb: 0.3880 0.9766 0.8039 (multiplicity 1)  4 O 1.81-2.01
Nb: 0.4769 0.4280 0.5310 (multiplicity 1)  4 O 1.81-2.01
Nb: 0.5224 0.2417 0.8052 (multiplicity 1)  2 O 1.78-1.93
Nb: 0.6553 0.5109 0.8009 (multiplicity 1)  4 O 1.81-2.01
Nb: 0.7330 0.4665 0.0034 (multiplicity 1)  4 O 1.80-2.01
Nb: 0.8638 0.7353 0.9989 (multiplicity 1)  2 O 1.78-1.93
Nb: 0.9136 0.5494 0.2732 (multiplicity 1)  4 O 1.81-2.02
O: 0.0030 0.4680 0.5415 (multiplicity 1)  2 Nb 2.01
O: 0.0506 0.2568 0.8471 (multiplicity 1)  2 Nb 2.03
O: 0.0653 0.1441 0.9903 (multiplicity 1)  1 Nb 1.82
O: 0.0820 0.0368 0.1229 (multiplicity 1)  1 Nb 1.81
O: 0.1078 0.9481 0.2650 (multiplicity 1)  2 Nb 1.92-1.95
O: 0.1190 0.8462 0.4023 (multiplicity 1)  2 Nb 1.90-1.96
O: 0.1482 0.7538 0.5479 (multiplicity 1)  1 Nb 1.81
O: 0.1661 0.6533 0.6791 (multiplicity 1)  1 Nb 1.82
O: 0.1813 0.5492 0.8154 (multiplicity 1)  2 Nb 2.00-2.01
O: 0.2068 0.4283 0.9892 (multiplicity 1)  2 Nb 2.01
O: 0.2212 0.3226 0.1246 (multiplicity 1)  1 Nb 1.82
O: 0.2414 0.2234 0.2565 (multiplicity 1)  1 Nb 1.81
O: 0.2644 0.1317 0.4023 (multiplicity 1)  2 Nb 1.90-1.95
O: 0.2808 0.0294 0.5396 (multiplicity 1)  2 Nb 1.91-1.95
O: 0.3056 0.9398 0.6811 (multiplicity 1)  1 Nb 1.81
O: 0.3227 0.8324 0.8125 (multiplicity 1)  1 Nb 1.82
O: 0.3359 0.7205 0.9568 (multiplicity 1)  2 Nb 2.03
O: 0.3867 0.5089 0.2621 (multiplicity 1)  2 Nb 2.01-2.02
O: 0.3972 0.3960 0.4003 (multiplicity 1)  2 Nb 1.93-1.95
O: 0.4183 0.3063 0.5392 (multiplicity 1)  1 Nb 1.81
O: 0.4491 0.2175 0.6847 (multiplicity 1)  1 Nb 1.78
O: 0.4671 0.1148 0.8204 (multiplicity 1)  2 Nb 1.93-1.96
O: 0.4819 0.0020 0.9639 (multiplicity 1)  2 Nb 2.01-2.02
O: 0.5272 0.8027 0.2536 (multiplicity 1)  2 Nb 1.88-2.04
O: 0.5671 0.5912 0.5432 (multiplicity 1)  2 Nb 2.01
O: 0.5749 0.4725 0.6783 (multiplicity 1)  1 Nb 1.81
O: 0.6186 0.3987 0.8408 (multiplicity 1)  1 Nb 1.90
O: 0.6372 0.3027 0.9760 (multiplicity 1)  2 Nb 2.05
O: 0.6785 0.0929 0.2606 (multiplicity 1)  2 Nb 1.88-2.01
O: 0.7086 0.8843 0.5429 (multiplicity 1)  2 Nb 1.89-2.01
O: 0.7496 0.6743 0.8282 (multiplicity 1)  2 Nb 2.05
O: 0.7686 0.5788 0.9635 (multiplicity 1)  1 Nb 1.90
O: 0.8147 0.5062 0.1259 (multiplicity 1)  1 Nb 1.80
O: 0.8230 0.3858 0.2601 (multiplicity 1)  2 Nb 2.01
O: 0.8595 0.1739 0.5507 (multiplicity 1)  2 Nb 1.91-2.00
O: 0.9057 0.9742 0.8395 (multiplicity 1)  2 Nb 2.01
O: 0.9206 0.8621 0.9832 (multiplicity 1)  2 Nb 1.93-1.96
O: 0.9359 0.7601 0.1198 (multiplicity 1)  1 Nb 1.78
O: 0.9732 0.6714 0.2658 (multiplicity 1)  1 Nb 1.81
O: 0.9925 0.5806 0.4038 (multiplicity 1)  2 Nb 1.92-1.95

spin magnetization	0.0	μB/f.u.
ΔE_f	-3.03	eV/atom

Entry 8:
Compound: Nb2O5
Source: the Materials Project
Functional: PBE
Structure: relaxed

a b c (Å): 29.3795 3.7904 18.0653
angles (deg): 90.00 125.10 90.00
Last column: nearest neighbours and their distance in Å.
Space group C2/m (No. 12)
One atom of each set of equivalent atoms:
Nb: 0.0234 0.0000 0.3733 (multiplicity 4)  5 O 1.90-2.05
Nb: 0.0609 0.0000 0.1018 (multiplicity 4)  4 O 1.80-1.98
Nb: 0.0752 0.0000 0.9031 (multiplicity 4)  2 O 1.77-1.95
Nb: 0.1106 0.0000 0.6337 (multiplicity 4)  5 O 1.90-2.12
Nb: 0.1551 0.0000 0.3723 (multiplicity 4)  4 O 1.83-1.98
Nb: 0.1601 0.5000 0.1016 (multiplicity 4)  4 O 1.82-2.01
Nb: 0.2057 0.0000 0.9002 (multiplicity 4)  4 O 1.82-1.99
Nb: 0.2469 0.0000 0.6342 (multiplicity 4)  4 O 1.78-1.99
O: 0.0149 0.0000 0.9387 (multiplicity 4)  1 Nb 1.90
O: 0.0158 0.5000 0.3425 (multiplicity 4)  2 Nb 1.95
O: 0.0271 0.0000 0.7839 (multiplicity 4)  1 Nb 1.77
O: 0.0466 0.0000 0.6361 (multiplicity 4)  2 Nb 1.90-1.96
O: 0.0706 0.0000 0.5021 (multiplicity 4)  2 Nb 1.90-1.96
O: 0.0741 0.5000 0.0875 (multiplicity 4)  2 Nb 1.98
O: 0.0891 0.5000 0.9465 (multiplicity 4)  2 Nb 2.00
O: 0.0904 0.0000 0.3654 (multiplicity 4)  1 Nb 1.83
O: 0.1024 0.0000 0.2239 (multiplicity 4)  1 Nb 1.80
O: 0.1287 0.5000 0.6437 (multiplicity 4)  2 Nb 1.95
O: 0.1319 0.0000 0.0760 (multiplicity 4)  2 Nb 2.01
O: 0.1460 0.0000 0.9171 (multiplicity 4)  2 Nb 1.95
O: 0.1624 0.0000 0.7774 (multiplicity 4)  1 Nb 1.82
O: 0.1694 0.5000 0.3599 (multiplicity 4)  2 Nb 1.98
O: 0.1901 0.0000 0.6447 (multiplicity 4)  1 Nb 1.78
O: 0.1950 0.5000 0.2236 (multiplicity 4)  1 Nb 1.82
O: 0.2048 0.0000 0.5010 (multiplicity 4)  2 Nb 1.91-1.97
O: 0.2183 0.5000 0.0911 (multiplicity 4)  1 Nb 1.82
O: 0.2260 0.5000 0.9379 (multiplicity 4)  2 Nb 1.99
O: 0.2297 0.0000 0.3574 (multiplicity 4)  2 Nb 1.99

ΔE_f	-3.03	eV/atom